Entry a
This record from the Materials Project database describes an optimized crystal structure of Li5Fe2P2C2O14. The functional is PBE with a Hubbard U.

The structure in POSCAR format:
```
Li5Fe2P2C2O14
1.0
6.468 0.000 0.000
0.000 9.384 0.000
0.000 4.544 9.089
Li P O Fe C
10 4 28 4 4
Direct
0.494 0.104 0.556 Li
0.742 0.739 0.260 Li
0.743 0.739 0.762 Li
0.257 0.739 0.262 Li
0.991 0.900 0.932 Li
0.317 0.290 0.739 Li
0.683 0.290 0.239 Li
0.506 0.104 0.056 Li
0.258 0.739 0.760 Li
0.009 0.900 0.432 Li
0.494 0.413 0.434 P
0.506 0.413 0.934 P
0.005 0.580 0.580 P
0.995 0.580 0.080 P
0.483 0.440 0.573 O
0.996 0.893 0.235 O
0.694 0.311 0.932 O
0.502 0.839 0.830 O
0.001 0.541 0.945 O
0.993 0.069 0.491 O
0.517 0.440 0.073 O
0.007 0.069 0.991 O
0.306 0.311 0.432 O
0.493 0.576 0.797 O
0.681 0.304 0.440 O
0.006 0.159 0.658 O
0.817 0.701 0.059 O
0.544 0.101 0.253 O
0.964 0.423 0.221 O
0.994 0.159 0.158 O
0.493 0.934 0.996 O
0.507 0.576 0.297 O
0.456 0.101 0.753 O
0.507 0.934 0.496 O
0.498 0.839 0.330 O
0.036 0.423 0.721 O
0.183 0.701 0.559 O
0.319 0.304 0.940 O
0.004 0.893 0.735 O
0.812 0.679 0.579 O
0.999 0.541 0.445 O
0.188 0.679 0.079 O
0.000 0.326 0.939 Fe
0.501 0.668 0.060 Fe
0.000 0.326 0.439 Fe
0.499 0.668 0.560 Fe
0.483 0.963 0.858 C
0.999 0.037 0.130 C
0.517 0.963 0.358 C
0.001 0.037 0.630 C
```


Entry b
This record from the Materials Project database describes an optimized crystal structure of Li5Fe2P2C2O14. The functional is PBE with a Hubbard U.

The structure in POSCAR format:
```
Li5Fe2P2C2O14
1.0
7.931 0.000 0.000
-1.913 8.252 0.000
-2.076 -4.106 8.441
C Fe O Li P
4 4 28 10 4
Direct
0.503 0.255 0.940 C
0.012 0.267 0.045 C
0.988 0.733 0.955 C
0.497 0.745 0.060 C
0.802 0.549 0.657 Fe
0.696 0.954 0.346 Fe
0.304 0.046 0.654 Fe
0.198 0.451 0.343 Fe
0.172 0.465 0.561 O
0.837 0.596 0.902 O
0.797 0.749 0.321 O
0.947 0.138 0.413 O
0.704 0.768 0.691 O
0.449 0.742 0.183 O
0.346 0.136 0.902 O
0.828 0.535 0.439 O
0.052 0.768 0.852 O
0.163 0.404 0.098 O
0.576 0.134 0.333 O
0.064 0.641 0.324 O
0.296 0.232 0.309 O
0.203 0.251 0.679 O
0.936 0.359 0.676 O
0.605 0.368 0.082 O
0.545 0.360 0.577 O
0.654 0.864 0.098 O
0.395 0.632 0.918 O
0.334 0.034 0.449 O
0.666 0.966 0.551 O
0.935 0.174 0.894 O
0.948 0.232 0.148 O
0.551 0.258 0.817 O
0.053 0.862 0.587 O
0.424 0.866 0.667 O
0.065 0.826 0.106 O
0.455 0.640 0.423 O
0.761 0.214 0.740 Li
0.958 0.939 0.778 Li
0.735 0.282 0.242 Li
0.464 0.449 0.754 Li
0.239 0.786 0.260 Li
0.536 0.551 0.246 Li
0.265 0.718 0.758 Li
0.834 0.610 0.110 Li
0.166 0.390 0.890 Li
0.042 0.061 0.222 Li
0.939 0.698 0.423 P
0.438 0.195 0.417 P
0.562 0.805 0.583 P
0.061 0.302 0.577 P
```


Least stable: entry a


Entry a
This record from the Materials Project database describes an optimized crystal structure of Li5Fe2P2C2O14. The functional is PBE with a Hubbard U.

The structure in POSCAR format:
```
Li5Fe2P2C2O14
1.0
-2.661 -2.119 -3.782
1.484 -11.747 5.224
-7.527 0.600 3.749
O Li C Fe P
28 10 4 4 4
Direct
0.838 0.125 0.574 O
0.420 0.148 0.441 O
0.513 0.365 0.165 O
0.128 0.866 0.426 O
0.623 0.870 0.897 O
0.792 0.532 0.310 O
0.845 0.220 0.303 O
0.845 0.720 0.303 O
0.176 0.282 0.700 O
0.623 0.370 0.897 O
0.176 0.782 0.700 O
0.086 0.125 0.935 O
0.563 0.375 0.542 O
0.128 0.366 0.426 O
0.933 0.380 0.072 O
0.159 0.467 0.686 O
0.410 0.145 0.097 O
0.159 0.967 0.686 O
0.420 0.648 0.441 O
0.410 0.645 0.097 O
0.563 0.875 0.542 O
0.792 0.032 0.310 O
0.838 0.625 0.574 O
0.933 0.880 0.072 O
0.511 0.116 0.835 O
0.086 0.625 0.935 O
0.513 0.865 0.165 O
0.511 0.617 0.835 O
0.255 0.229 0.276 Li
0.798 0.122 0.104 Li
0.741 0.743 0.742 Li
0.220 0.877 0.899 Li
0.741 0.243 0.742 Li
0.798 0.622 0.104 Li
0.739 0.998 0.734 Li
0.220 0.377 0.899 Li
0.739 0.498 0.734 Li
0.255 0.729 0.276 Li
0.688 0.371 0.041 C
0.689 0.871 0.041 C
0.333 0.629 0.961 C
0.333 0.129 0.961 C
0.216 0.623 0.666 Fe
0.790 0.380 0.329 Fe
0.216 0.123 0.666 Fe
0.790 0.880 0.329 Fe
0.721 0.630 0.413 P
0.255 0.872 0.583 P
0.722 0.130 0.413 P
0.255 0.372 0.583 P
```


Entry b
This record from the Materials Project database describes an optimized crystal structure of Li5Fe2P2C2O14. The functional is PBE with a Hubbard U.

The structure in POSCAR format:
```
Li5Fe2P2C2O14
1.0
-3.416 3.364 4.346
-5.825 -6.086 0.132
4.310 -5.319 7.506
C O Li Fe P
4 28 10 4 4
Direct
0.500 0.964 0.148 C
0.992 0.039 0.342 C
0.500 0.964 0.648 C
0.008 0.039 0.842 C
0.501 0.109 0.180 O
0.804 0.688 0.092 O
0.196 0.688 0.592 O
0.499 0.456 0.213 O
0.996 0.423 0.583 O
0.015 0.559 0.793 O
0.004 0.423 0.083 O
0.537 0.577 0.430 O
0.509 0.930 0.526 O
0.957 0.901 0.306 O
0.491 0.930 0.026 O
0.005 0.068 0.465 O
0.689 0.299 0.405 O
0.182 0.693 0.093 O
0.320 0.319 0.420 O
0.507 0.843 0.237 O
0.995 0.068 0.965 O
0.680 0.319 0.920 O
0.499 0.109 0.680 O
0.311 0.299 0.905 O
0.013 0.161 0.250 O
0.985 0.559 0.293 O
0.987 0.161 0.750 O
0.463 0.577 0.930 O
0.043 0.901 0.806 O
0.493 0.843 0.737 O
0.818 0.693 0.593 O
0.501 0.456 0.713 O
0.754 0.261 0.629 Li
0.813 0.712 0.382 Li
0.499 0.099 0.882 Li
0.993 0.897 0.110 Li
0.187 0.712 0.882 Li
0.501 0.099 0.382 Li
0.007 0.897 0.610 Li
0.246 0.261 0.129 Li
0.250 0.266 0.632 Li
0.750 0.266 0.132 Li
0.500 0.672 0.102 Fe
0.500 0.672 0.602 Fe
0.007 0.332 0.394 Fe
0.993 0.332 0.894 Fe
0.006 0.585 0.642 P
0.994 0.585 0.142 P
0.490 0.418 0.868 P
0.510 0.418 0.368 P
```


Least stable: entry b


Entry a
This record from the Materials Project database describes an optimized crystal structure of Pr2MgMn2Ge2O10. The functional is PBE with a Hubbard U.

The structure in POSCAR format:
```
Pr2MgMn2Ge2O10
1.0
-5.649 0.408 -3.289
2.292 -4.730 -2.989
-1.953 -2.540 6.144
O Ge Mn Mg Pr
10 2 2 1 2
Direct
0.637 0.181 0.408 O
0.603 0.128 0.852 O
0.846 0.845 0.620 O
0.931 0.588 0.254 O
0.374 0.743 0.537 O
0.356 0.392 0.126 O
0.036 0.404 0.762 O
0.297 0.910 0.058 O
0.657 0.643 0.882 O
0.211 0.195 0.438 O
0.375 0.179 0.267 Ge
0.624 0.839 0.732 Ge
0.079 0.497 0.500 Mn
0.113 0.607 0.067 Mn
0.726 0.342 0.717 Mg
0.643 0.742 0.244 Pr
0.211 0.089 0.751 Pr
```


Entry b
This record from the Materials Project database describes an optimized crystal structure of Pr2MgMn2Ge2O10. The functional is PBE with a Hubbard U.

The structure in POSCAR format:
```
Pr2MgMn2Ge2O10
1.0
5.727 -0.027 -0.843
-2.111 5.448 -1.771
0.176 -0.035 7.422
Ge O Mn Mg Pr
2 10 2 1 2
Direct
0.643 0.802 0.726 Ge
0.357 0.198 0.274 Ge
0.298 0.894 0.104 O
0.125 0.436 0.747 O
0.702 0.106 0.896 O
0.959 0.866 0.687 O
0.312 0.343 0.096 O
0.688 0.657 0.904 O
0.875 0.564 0.253 O
0.041 0.134 0.313 O
0.583 0.272 0.483 O
0.417 0.728 0.517 O
0.000 0.500 0.000 Mn
0.000 0.500 0.500 Mn
0.000 0.000 0.000 Mg
0.646 0.794 0.265 Pr
0.354 0.206 0.735 Pr
```


Least stable: entry b


Entry a
This record from the Materials Project database describes an optimized crystal structure of SrYCoO4. The functional is PBE with a Hubbard U.

The structure in POSCAR format:
```
SrYCoO4
1.0
-3.754 3.761 0.003
-1.880 1.883 6.246
7.707 7.715 0.003
O Y Co Sr
16 4 4 4
Direct
0.743 0.016 0.122 O
0.765 0.936 0.873 O
0.194 0.673 0.030 O
0.775 0.954 0.373 O
0.711 0.664 0.212 O
0.818 0.370 0.484 O
0.253 0.008 0.131 O
0.628 0.673 0.720 O
0.757 0.010 0.624 O
0.815 0.362 0.983 O
0.249 0.968 0.877 O
0.248 0.014 0.623 O
0.144 0.664 0.536 O
0.290 0.925 0.376 O
0.319 0.359 0.765 O
0.321 0.369 0.267 O
0.658 0.719 0.513 Y
0.154 0.718 0.737 Y
0.125 0.717 0.239 Y
0.620 0.716 0.012 Y
0.503 0.997 0.252 Co
0.994 0.001 0.001 Co
0.007 0.996 0.498 Co
0.496 0.004 0.750 Co
0.361 0.291 0.496 Sr
0.856 0.292 0.255 Sr
0.852 0.294 0.750 Sr
0.346 0.294 0.999 Sr
```


Entry b
This record from the Materials Project database describes an optimized crystal structure of SrYCoO4. The functional is PBE with a Hubbard U.

The structure in POSCAR format:
```
SrYCoO4
1.0
3.801 -0.006 0.004
-0.012 7.583 -0.003
-1.891 -1.895 6.113
Y Sr O Co
2 2 8 2
Direct
0.360 0.186 0.722 Y
0.360 0.678 0.725 Y
0.647 0.320 0.287 Sr
0.646 0.823 0.290 Sr
0.839 0.924 0.678 O
0.486 0.993 0.972 O
0.837 0.411 0.672 O
0.995 0.237 0.980 O
0.988 0.752 0.973 O
0.181 0.593 0.365 O
0.174 0.086 0.350 O
0.489 0.495 0.980 O
0.002 0.503 0.011 Co
0.997 0.000 0.996 Co
```


Least stable: entry b